{
  "formula": "Sr2YSb2O7",
  "functional": "PBE",
  "state": "optimized geometry",
  "formation_energy_ev_per_fu": -29.85,
  "m_tot_mub_per_cell": 0.0,
  "spacegroup": "Ima2",
  "total_energy_ev_per_atom": -6.48,
  "lattice": [[-12.723, 2.916, 3.122], [12.723, -2.916, 3.122], [12.723, 2.916, -3.122]],
  "species": ["Sr", "Sr", "Sr", "Sr", "Y", "Y", "Sb", "Sb", "Sb", "Sb", "O", "O", "O", "O", "O", "O", "O", "O", "O", "O", "O", "O", "O", "O"],
  "fractional_positions": [[0.135, 0.184, 0.319], [0.135, 0.316, 0.452], [0.865, 0.684, 0.548], [0.865, 0.816, 0.681], [0.122, 0.122, 0.000], [0.122, 0.622, 0.500], [0.639, 0.213, 0.569], [0.639, 0.569, 0.926], [0.643, 0.069, 0.431], [0.643, 0.713, 0.074], [0.070, 0.020, 0.551], [0.154, 0.026, 0.260], [0.154, 0.394, 0.628], [0.168, 0.418, 0.846], [0.168, 0.821, 0.249], [0.469, 0.520, 0.449], [0.572, 0.321, 0.154], [0.572, 0.918, 0.751], [0.640, 0.789, 0.145], [0.640, 0.995, 0.351], [0.644, 0.289, 0.649], [0.644, 0.495, 0.855], [0.766, 0.526, 0.372], [0.766, 0.894, 0.740]]
}